<1>
39
Lattice="-7.175 4.237 1.030 1.266 -4.477 -6.989 -3.022 -5.904 3.235" Properties=species:S:1:pos:R:3 comment="Li2VP2O8 GGA+U optimized geometry" space_group="P-3, No. 147" crystal_system=trigonal pbc="T T T"
P -5.814 -6.148 -3.519
P -3.117 0.004 0.794
P -4.796 -1.286 -3.129
P -1.767 -7.531 -2.262
P -4.136 -4.858 0.404
P -7.164 1.387 -0.462
O -3.311 0.728 -0.554
O -0.686 -1.591 -0.851
O -4.688 0.213 -2.781
O -5.248 -4.741 -3.428
O -3.013 -4.226 -0.402
O -8.622 -1.608 3.152
O -5.738 1.782 -0.896
O -0.888 -3.236 -2.722
O -8.044 -2.909 -0.002
O -3.833 -4.721 1.944
O -5.500 -4.109 0.185
O -0.310 -4.537 -5.877
O -5.919 -1.918 -2.323
O -1.838 -6.405 -3.281
O -8.246 -4.554 -1.874
O -5.621 -6.872 -2.170
O -3.432 -2.036 -2.909
O -4.244 -6.357 0.056
O -3.684 -1.404 0.704
O -7.094 0.261 0.557
O -6.446 -2.476 2.280
O -2.486 -3.668 -5.004
O -3.194 -7.927 -1.828
O -5.099 -1.424 -4.669
V -1.774 -2.013 -4.075
V -7.158 -4.131 1.350
V 0.000 0.000 0.000
Li -6.045 -3.786 -1.837
Li -2.887 -2.359 -0.887
Li -8.484 -1.040 0.895
Li -0.448 -5.104 -3.620
Li -4.329 -2.456 2.192
Li -4.603 -3.688 -4.917



<2>
## Li2VP2O8 (GGA+U)

Data for Li2VP2O8 after structural relaxation.

The structure in extended XYZ format:
```
52
Lattice="-3.262 -2.656 2.386 -5.404 11.678 7.740 -3.708 1.365 -6.912" Properties=species:S:1:pos:R:3 pbc="T T T"
O -6.571 -0.022 -4.252
O -3.923 0.500 -4.401
O -4.548 4.548 -2.378
O -9.501 5.909 -0.348
O -8.952 9.652 5.125
O -7.226 7.954 3.364
O -5.987 6.040 -0.896
O -8.174 5.808 2.476
O -6.402 4.329 4.118
O -5.787 6.463 1.881
O -1.986 0.614 0.869
O -4.553 2.629 2.305
O -4.787 -0.113 1.645
O -5.329 2.000 -2.912
O -7.027 8.377 6.141
O -2.765 4.456 3.518
O -7.478 10.479 1.526
O -7.712 7.737 0.865
O -6.151 10.378 4.349
O -8.009 1.469 -2.769
O -6.225 0.024 -1.120
O -4.202 4.595 0.754
O -4.379 8.898 5.992
O -8.465 9.869 7.623
O -6.934 3.894 -1.784
O -10.390 9.789 2.360
O -5.440 6.509 5.014
O -5.163 2.415 -0.141
O -3.314 0.715 -1.955
O -5.786 10.399 7.481
O -6.569 3.915 1.348
O -7.808 5.829 5.607
V -10.728 11.683 2.079
V -4.540 6.490 0.473
V -6.562 1.918 -1.400
V -5.779 8.402 4.733
P -5.995 5.105 -2.176
P -3.874 1.447 -3.144
P -6.353 5.276 5.375
P -5.113 3.363 1.116
P -7.235 7.020 2.084
P -8.475 8.934 6.344
P -8.038 11.212 0.337
P -4.310 -0.830 2.863
Li -4.239 0.382 -0.163
Li -9.024 6.950 4.172
Li -7.785 5.034 -0.088
Li -2.836 1.756 2.565
Li -8.405 10.146 3.317
Li -7.165 8.231 -0.943
Li -7.001 11.519 6.045
Li -5.480 2.296 4.097
```



<3>
26
Lattice="0.892 -1.357 4.556 6.280 7.753 1.080 -4.473 3.288 1.855" Properties=species:S:1:pos:R:3 comment="Li2VP2O8 GGA+U optimized geometry" space_group="Pc, No. 7" crystal_system=monoclinic pbc="T T T"
P -0.136 1.025 2.384
P 0.064 4.277 6.143
P 2.738 5.308 1.560
P 2.846 8.699 4.854
O 2.389 6.280 2.747
O 1.516 8.578 5.744
O 3.488 7.215 5.011
O 2.528 9.009 3.417
O -0.593 5.104 2.975
O 0.237 0.778 3.857
O 4.237 5.061 1.935
O 1.872 4.035 1.729
O 0.454 3.177 5.013
O 5.146 7.705 2.960
O 1.105 1.172 1.443
O 3.439 4.560 4.714
O -0.770 2.436 2.099
O -1.497 4.507 5.851
O -2.461 1.874 4.471
O 0.825 5.528 5.756
Li 1.134 5.168 3.862
Li 1.170 8.019 2.327
Li -2.445 1.958 1.084
Li -1.583 3.552 3.768
V 4.278 6.072 3.697
V 1.529 1.600 5.154



The relative energies come out as <1> 0; <2> 17; <3> 10, with values in meV/atom.



<1>
52
Lattice="-7.427 10.154 -1.050 -4.872 -3.346 2.105 0.881 1.406 7.369" Properties=species:S:1:pos:R:3 comment="Li2VP2O8 GGA+U optimized geometry" space_group="P2_1/c, No. 14" crystal_system=monoclinic pbc="T T T"
O -0.391 1.869 5.745
O -10.418 7.474 5.412
O -1.683 2.934 1.865
O -7.195 2.183 1.314
O -6.983 8.678 3.026
O -5.063 3.254 6.481
O -4.223 6.032 7.109
O -4.487 3.279 1.767
O -1.555 -0.525 0.714
O -7.345 7.017 5.499
O -9.735 5.281 6.558
O -7.809 4.804 4.306
O -3.954 5.733 1.742
O -7.465 2.482 6.681
O -6.819 9.784 5.275
O -2.389 3.930 6.677
O -5.368 5.572 4.730
O -3.819 0.882 7.871
O -6.051 2.643 3.693
O -9.029 4.285 1.746
O -1.880 -0.150 6.074
O -3.609 3.411 4.117
O -6.355 4.961 1.942
O -9.863 8.740 7.709
O -11.027 6.346 2.678
O -4.600 -1.569 3.148
O -1.000 0.741 3.011
O -4.074 1.199 2.924
O -4.435 -0.463 5.397
O -9.538 8.365 2.349
O -7.599 7.333 0.552
O -6.931 4.936 6.656
V -3.665 4.513 5.793
V -3.574 -0.615 7.203
V -7.753 3.702 2.630
V -7.845 8.830 1.220
Li -2.688 0.266 4.117
Li -8.328 6.790 7.340
Li -5.858 0.206 2.088
Li -3.090 1.425 1.083
Li -4.290 6.882 3.537
Li -8.730 7.949 4.306
Li -7.128 1.333 4.886
Li -5.560 8.009 6.335
P -0.629 0.619 6.580
P -6.829 5.621 5.168
P -6.401 3.508 7.161
P -5.992 9.481 3.889
P -10.789 7.596 1.843
P -5.426 -1.266 4.534
P -5.017 4.708 1.262
P -4.590 2.594 3.255



<2>
52
Lattice="-3.286 -3.552 -0.654 4.011 -1.802 7.621 -11.576 6.187 6.795" Properties=species:S:1:pos:R:3 comment="Li2VP2O8 GGA+U optimized geometry" space_group="P-1, No. 2" crystal_system=triclinic pbc="T T T"
Li -3.148 -1.285 4.659
Li -2.992 1.005 9.479
Li -5.580 -1.842 1.570
Li -7.701 2.114 9.098
Li -12.422 3.229 8.749
Li -5.268 2.677 12.192
Li -7.856 -0.178 4.283
Li 1.567 -2.389 5.014
O -9.843 3.975 9.964
O -5.970 1.983 5.821
O -2.398 -0.637 8.248
O -0.172 -2.254 8.331
O -4.545 -2.679 5.532
O -11.819 1.574 7.500
O -7.879 1.943 10.939
O -1.549 -1.883 5.917
O -4.593 1.605 8.220
O -1.008 -3.135 3.799
O -7.165 2.637 3.702
O 0.972 -0.743 6.260
O -7.683 3.882 5.825
O -7.107 0.462 7.881
O -5.116 2.842 10.347
O -2.969 -1.111 2.819
O -10.676 3.093 5.432
O -8.354 3.206 13.058
O -9.148 0.787 12.780
O -11.025 4.601 7.832
O -3.689 -1.810 10.060
O -5.735 -2.011 3.416
O -6.259 -0.778 5.543
O -9.305 2.716 7.849
O -2.495 -2.368 0.698
O -8.454 1.472 5.517
O 0.176 -3.763 5.928
O -1.700 0.050 0.979
O -6.306 3.507 8.226
O -3.744 0.366 5.880
O -4.881 -1.153 7.940
O -3.164 -3.048 7.934
P -3.545 -1.669 8.585
P -7.305 2.501 5.178
P -9.689 4.101 8.488
P -8.259 -0.566 8.217
P -8.006 1.807 12.416
P -1.163 -3.265 5.275
P -2.594 1.395 5.545
P -2.841 -0.970 1.343
V -10.849 0.835 13.759
V -5.426 0.414 6.882
V -0.713 -0.692 7.254
V -10.137 1.526 6.509



The relative energies come out as <1> 0; <2> 12, with values in meV/atom.



<1>
36
Lattice="-1.653 -7.719 -3.127 5.562 -6.305 1.251 -3.611 -1.756 6.225" Properties=species:S:1:pos:R:3 comment="LiVP2O8 GGA+U optimized geometry" space_group="P1, No. 1" crystal_system=triclinic pbc="T T T"
O 0.024 -3.643 -0.478
O 1.219 -11.003 -0.445
O 0.725 -6.190 -0.926
O -0.780 -6.789 1.011
O 4.532 -7.832 1.575
O -0.518 -9.559 5.252
O -0.956 -3.519 1.843
O -1.052 -4.694 4.748
O -2.848 -6.015 3.357
O 2.440 -13.047 -1.089
O 0.884 -8.511 0.124
O -0.648 -7.229 4.221
O 1.077 -8.922 3.402
O 2.306 -4.552 0.532
O 3.057 -9.750 1.037
O -1.519 -10.185 1.480
O -4.348 -7.880 2.791
O 1.184 -7.856 5.748
O 1.609 -5.485 2.760
O -1.055 -7.947 -1.266
O -2.001 -11.181 3.756
O 1.197 -12.063 2.570
O 0.191 -12.112 4.882
O -2.245 -2.677 5.528
Li -0.387 -5.529 2.507
Li -1.980 -9.615 -0.312
Li 0.729 -10.212 1.909
P 1.339 -12.627 3.935
P 0.315 -8.408 4.569
P -2.478 -11.022 2.285
P -0.097 -7.320 -0.199
P 2.664 -4.708 2.062
P -1.128 -3.080 0.413
V 5.494 -6.252 1.230
V 2.319 -9.454 -0.735
V -2.089 -6.294 5.091



<2>
12
Lattice="2.621 3.952 0.000 -2.621 3.952 0.000 0.000 0.411 6.669" Properties=species:S:1:pos:R:3 comment="LiVP2O8 GGA+U optimized geometry" space_group="C2/m, No. 12" crystal_system=monoclinic pbc="T T T"
O 0.000 5.966 3.711
O 0.000 6.303 6.244
O -1.358 4.383 1.985
O -1.358 3.932 4.684
O 0.000 2.012 0.425
O 1.358 4.383 1.985
O 0.000 2.349 2.958
O 1.358 3.932 4.684
V 0.000 4.157 3.334
P 0.000 6.976 4.905
P 0.000 1.339 1.764
Li 0.000 3.952 0.000



The relative energies come out as <1> 0; <2> 21, with values in meV/atom.